# Rb3Se2O8, relaxed, DFT PBE
# Energy   -4.98 eV/atom
# ΔE to the lowest computed polymorph   6 meV per atom
# Magnetization   3.001 μB/cell
# Energy of formation   -1.589 eV/atom
data_Rb3Se2O8
_chemical_formula_sum 'Rb9 Se6 O24'
_cell_length_a 6.1835
_cell_length_b 6.1835
_cell_length_c 22.9392
_cell_angle_alpha 90.00
_cell_angle_beta 90.00
_cell_angle_gamma 120.00
_symmetry_space_group_name_H-M 'R -3 m'
_symmetry_Int_Tables_number 166
_symmetry_space_group_name_Hall '-R 3 2"'
loop_
_atom_site_label
_atom_site_type_symbol
_atom_site_fract_x
_atom_site_fract_y
_atom_site_fract_z
_atom_site_occupancy
Rb1 Rb 0.0000 0.0000 0.0000 1
Rb2 Rb 0.0000 0.0000 0.2036 1
Se1 Se 0.0000 0.0000 0.4090 1
O1 O 0.0000 0.0000 0.3360 1
O2 O 0.0364 0.5182 0.2342 1